TmI3O9: optimized geometry, r²SCAN.

Cell lengths 6.9937, 8.4275, 13.2232 Å; angles 90.00, 99.88, 90.00 degrees
Positions (direct):
Tm1 0.1717 0.2447 0.1468
Tm2 0.1717 0.2553 0.6468
Tm3 0.8283 0.7447 0.3532
Tm4 0.8283 0.7553 0.8532
I1 0.1622 0.7092 0.1100
I2 0.1622 0.7908 0.6100
I3 0.2704 0.0187 0.8891
I4 0.2704 0.4813 0.3891
I5 0.3318 0.5408 0.8575
I6 0.3318 0.9592 0.3575
I7 0.6682 0.0408 0.6425
I8 0.6682 0.4592 0.1425
I9 0.7296 0.5187 0.6109
I10 0.7296 0.9813 0.1109
I11 0.8378 0.2092 0.3900
I12 0.8378 0.2908 0.8900
O1 0.0187 0.5314 0.3873
O2 0.0187 0.9686 0.8873
O3 0.0361 0.1677 0.4930
O4 0.0361 0.3323 0.9930
O5 0.1488 0.6935 0.8223
O6 0.1488 0.8065 0.3223
O7 0.1514 0.5263 0.1808
O8 0.1514 0.9737 0.6808
O9 0.2227 0.2092 0.8233
O10 0.2227 0.2908 0.3233
O11 0.3216 0.0778 0.0216
O12 0.3216 0.4222 0.5216
O13 0.3420 0.0350 0.2302
O14 0.3420 0.4650 0.7302
O15 0.3656 0.6678 0.0459
O16 0.3656 0.8322 0.5459
O17 0.4647 0.1711 0.6374
O18 0.4647 0.3289 0.1374
O19 0.5353 0.6711 0.8626
O20 0.5353 0.8289 0.3626
O21 0.6344 0.1678 0.4541
O22 0.6344 0.3322 0.9541
O23 0.6580 0.5350 0.2698
O24 0.6580 0.9650 0.7698
O25 0.6784 0.5778 0.4784
O26 0.6784 0.9222 0.9784
O27 0.7773 0.7092 0.6767
O28 0.7773 0.7908 0.1767
O29 0.8486 0.0263 0.3192
O30 0.8486 0.4737 0.8192
O31 0.8512 0.1935 0.6777
O32 0.8512 0.3065 0.1777
O33 0.9639 0.6677 0.0070
O34 0.9639 0.8323 0.5070
O35 0.9813 0.0314 0.1127
O36 0.9813 0.4686 0.6127

ΔE_f   -1112 meV per atom
Volume   14.8 Å³/atom